(1)
VASP calculation (PBE) on a geometry-optimized La3Si4Ni4 structure.

Results
crystal system = orthorhombic
E_form = -8.2 eV/f.u.
total DFT energy (no corrections) = -6.164 eV/atom
calculated density = 6.257 Mg/m³
total moment = 0.00 μB/cell

```
11
Lattice="-6.0175 3.3983 9.9996 -5.8849 8.2506 6.7117 3.4204 -6.6380 -9.5911" Properties=species:S:1:pos:R:3 pbc="T T T"
Ni -8.9446 8.7541 12.5585
La -5.4645 2.4574 6.0534
Ni -2.4838 -0.4599 1.8683
Si -5.3351 5.2215 7.4906
Si -3.6897 0.7203 3.5614
Si -6.5673 6.4274 9.2206
La -3.0175 2.5535 1.0668
Si -4.7924 4.2906 3.5588
Ni -2.9578 2.8948 4.1528
Ni -5.9982 5.4708 5.2518
La 0.0000 0.0000 0.0000
```

---

(2)
VASP calculation (PBE) on a geometry-optimized LaSi2Ni2 structure.

Results
crystal system = tetragonal
E_form = -3.9 eV/f.u.
total DFT energy (no corrections) = -6.253 eV/atom
calculated density = 6.348 Mg/m³

```
5
Lattice="-1.8901 1.3059 3.4107 -3.3031 -2.2497 -0.9691 4.4279 -3.2714 1.2273" Properties=species:S:1:pos:R:3 pbc="T T T"
Si -2.1117 -1.4631 1.8690
Ni -0.7359 -2.9965 0.7395
La 0.0000 0.0000 0.0000
Si 1.3464 -2.7521 1.7999
Ni -0.0294 -1.2187 2.9294
```

---

(3)
VASP calculation (PBE) on a geometry-optimized LaSi2Ni structure.

Results
crystal system = orthorhombic
E_form = -3.3 eV/f.u.
total DFT energy (no corrections) = -6.210 eV/atom
calculated density = 5.835 Mg/m³

```
8
Lattice="2.1195 -8.3074 0.0000 2.1195 8.3074 0.0000 0.0000 0.0000 4.1015" Properties=species:S:1:pos:R:3 pbc="T T T"
Ni 2.1195 -3.0252 3.0761
Si 2.1195 4.1560 3.0761
Ni 2.1195 3.0252 1.0254
Si 2.1195 0.6821 1.0254
La 2.1195 -6.5188 3.0761
La 2.1195 6.5188 1.0254
Si 2.1195 -0.6821 3.0761
Si 2.1195 -4.1560 1.0254
```